First-principles (GGA+U) data for a relaxed structure of LiFePO4, as listed in the Materials Project database. Values from VASP.

Calculated values
As for the formation energy: -2.41 eV/atom. Its final energy is -6.78 eV/atom. As for the symmetry: No. 181. The excess energy over the best structure of this formula in the dataset comes out at 69 meV per atom. The total energy after the MP2020 corrections comes out at -7.495 eV per atom.

Quantum ESPRESSO input file:
```
&SYSTEM
  ibrav = 0, nat = 84, ntyp = 4
/
ATOMIC_SPECIES
Li 6.94 Li.upf
Fe 55.84 Fe.upf
P 30.97 P.upf
O 16.00 O.upf
CELL_PARAMETERS angstrom
10.6516 0.0000 0.0000
-5.3258 9.2246 0.0000
0.0000 0.0000 12.7046
ATOMIC_POSITIONS angstrom
Li 0.0000 0.0000 0.0000
Li 0.0000 0.0000 4.2349
Li 0.0000 0.0000 8.4697
Li -2.6629 4.6123 2.0223
Li -2.6629 4.6123 6.4475
Li -2.6629 4.6123 10.5871
Li 5.3258 0.0000 2.2126
Li 5.3258 0.0000 6.3523
Li 5.3258 0.0000 10.4920
Li 2.6629 4.6123 2.1174
Li 2.6629 4.6123 6.2571
Li 2.6629 4.6123 10.6823
Fe -1.3454 2.3302 4.2349
Fe -3.9804 6.8943 4.2349
Fe 0.0000 4.5719 0.0000
Fe -1.3664 6.9386 8.4697
Fe 2.6907 0.0000 0.0000
Fe 1.3454 2.3302 8.4697
Fe 3.9594 2.2860 4.2349
Fe 1.3664 6.9386 4.2349
Fe 7.9609 0.0000 0.0000
Fe 3.9804 6.8943 8.4697
Fe 6.6922 2.2860 8.4697
Fe 5.3258 4.6526 0.0000
P -1.2951 2.2432 10.5871
P -4.0307 6.9814 10.5871
P 2.5902 0.0000 6.3523
P 1.2951 2.2432 2.1174
P 0.0000 4.5727 6.3523
P -1.3657 6.9382 2.1174
P 3.9601 2.2863 10.5871
P 1.3657 6.9382 10.5871
P 6.6915 2.2863 2.1174
P 5.3258 4.6519 6.3523
P 8.0614 0.0000 6.3523
P 4.0307 6.9814 2.1174
O -0.3102 1.7476 9.4923
O -3.9674 8.0821 11.6821
O -1.0426 3.7324 5.5662
O -2.6147 6.4554 2.9036
O -0.9026 3.6181 11.2133
O -2.6437 6.6338 9.9610
O 0.3102 1.7476 3.2123
O -3.6572 8.6194 5.2574
O 1.6686 0.6051 7.4472
O 1.3584 1.1425 1.0225
O -0.9298 5.3838 7.2896
O -1.1282 5.7274 1.1801
O 0.9026 3.6181 1.4913
O -1.7411 8.1972 6.9784
O 1.0426 3.7324 7.1384
O -1.5721 8.2612 1.3313
O 0.9298 5.3838 5.4150
O -0.1984 7.3379 3.0547
O 3.5847 1.0274 5.7262
O 2.6821 2.5907 2.7436
O 3.7537 0.9633 11.3733
O 2.7111 2.7691 9.8010
O 1.1282 5.7274 11.5244
O 0.1984 7.3379 9.6499
O 5.1274 1.8866 9.6499
O 4.1976 3.4972 11.5244
O 2.6147 6.4554 9.8010
O 1.5721 8.2612 11.3733
O 2.6437 6.6338 2.7436
O 1.7411 8.1972 5.7262
O 5.5242 1.8866 3.0547
O 4.3960 3.8408 5.4150
O 6.8979 0.9633 1.3313
O 4.2832 5.4921 7.1384
O 7.0669 1.0274 6.9784
O 4.4232 5.6064 1.4913
O 6.4540 3.4972 1.1801
O 6.2556 3.8408 7.2896
O 3.9674 8.0821 1.0225
O 3.6572 8.6194 7.4472
O 8.9830 0.6051 5.2574
O 5.0156 7.4769 3.2123
O 7.9695 2.5907 9.9610
O 6.2284 5.6064 11.2133
O 7.9405 2.7691 2.9036
O 6.3684 5.4921 5.5662
O 9.2932 1.1425 11.6821
O 5.6360 7.4769 9.4923
```